Record 1
Below is an optimized crystal structure of Li3Ti6Zn3O16, with properties calculated at the PBE level.

Calculated values
The calculation puts the corrected total energy (MP2020 scheme) at -7.8293 eV/atom. The value obtained for the formation energy is -2.97 eV per atom.

Lattice parameters (Å, degrees): 8.4704 8.4718 8.4741 89.93 90.00 90.00
Positions (direct):
Li (0.6250, 0.1253, 0.6245)
Li (0.1250, 0.8747, 0.3755)
Li (0.5021, 0.7480, 0.4982)
Li (0.3753, 0.6252, 0.8750)
Li (0.8753, 0.3748, 0.1250)
Li (0.0021, 0.2520, 0.5018)
Ti (0.8696, 0.1308, 0.8722)
Ti (0.1189, 0.1261, 0.1356)
Ti (0.3732, 0.1151, 0.3832)
Ti (0.8732, 0.8849, 0.6168)
Ti (0.6189, 0.8739, 0.8644)
Ti (0.3696, 0.8692, 0.1278)
Ti (0.1337, 0.6282, 0.6235)
Ti (0.8778, 0.6204, 0.3705)
Ti (0.6248, 0.6197, 0.1228)
Ti (0.1248, 0.3803, 0.8772)
Ti (0.3778, 0.3796, 0.6295)
Ti (0.6337, 0.3718, 0.3765)
Zn (0.4991, 0.2491, 0.0014)
Zn (0.2479, 0.0006, 0.7507)
Zn (0.7479, 0.9994, 0.2493)
Zn (0.9991, 0.7509, 0.9986)
Zn (0.7507, 0.5022, 0.7478)
Zn (0.2507, 0.4978, 0.2522)
O (0.6090, 0.1432, 0.3724)
O (0.3728, 0.1389, 0.6072)
O (0.1129, 0.1368, 0.8871)
O (0.1427, 0.1267, 0.3556)
O (0.8926, 0.1220, 0.1101)
O (0.3628, 0.1135, 0.1363)
O (0.6423, 0.1105, 0.8781)
O (0.8770, 0.1051, 0.6423)
O (0.3770, 0.8949, 0.3577)
O (0.1423, 0.8895, 0.1219)
O (0.8628, 0.8865, 0.8637)
O (0.3926, 0.8780, 0.8899)
O (0.6427, 0.8733, 0.6444)
O (0.6129, 0.8632, 0.1129)
O (0.8728, 0.8611, 0.3928)
O (0.1090, 0.8568, 0.6276)
O (0.3885, 0.6419, 0.1276)
O (0.6275, 0.6398, 0.8928)
O (0.8876, 0.6379, 0.6125)
O (0.8612, 0.6274, 0.1422)
O (0.1076, 0.6236, 0.3891)
O (0.6383, 0.6109, 0.3612)
O (0.3559, 0.6081, 0.6237)
O (0.1234, 0.6080, 0.8616)
O (0.6234, 0.3920, 0.1384)
O (0.8559, 0.3919, 0.3763)
O (0.1383, 0.3891, 0.6388)
O (0.6076, 0.3764, 0.6109)
O (0.3612, 0.3726, 0.8578)
O (0.3876, 0.3621, 0.3876)
O (0.1275, 0.3602, 0.1072)
O (0.8885, 0.3581, 0.8724)

---

Record 2
Below is an optimized crystal structure of Sr3U6O28, with properties calculated at the PBE level.

Calculated values
The value obtained for the formation energy is -2.44 eV per atom.

Lattice parameters (Å, degrees): 6.9261 9.7817 9.8069 90.47 110.49 110.53
Positions (direct):
Sr (0.9690, 0.9122, 0.0537)
Sr (0.0226, 0.4583, 0.6009)
Sr (0.3340, 0.2682, 0.4064)
U (0.3058, 0.8561, 0.4818)
U (0.3068, 0.3415, 0.9965)
U (0.6609, 0.1707, 0.8071)
U (0.6610, 0.6669, 0.3117)
U (0.0160, 0.0343, 0.6608)
U (0.0154, 0.5197, 0.1747)
O (0.2659, 0.9859, 0.3370)
O (0.2896, 0.4810, 0.8665)
O (0.6717, 0.2991, 0.6589)
O (0.6635, 0.7838, 0.1608)
O (0.0625, 0.1975, 0.5511)
O (0.0162, 0.6621, 0.0469)
O (0.3252, 0.0290, 0.6412)
O (0.3252, 0.4979, 0.1723)
O (0.4130, 0.7266, 0.3613)
O (0.4137, 0.2207, 0.8673)
O (0.9074, 0.8548, 0.4838)
O (0.9073, 0.3423, 0.9958)
O (0.6599, 0.9892, 0.6024)
O (0.6600, 0.4630, 0.1284)
O (0.9962, 0.6821, 0.3249)
O (0.9969, 0.1872, 0.8204)
O (0.7151, 0.0778, 0.2173)
O (0.4353, 0.4827, 0.6222)
O (0.9205, 0.0970, 0.2334)
O (0.8001, 0.5971, 0.7377)
O (0.6922, 0.1585, 0.3076)
O (0.6054, 0.5836, 0.7262)
O (0.2872, 0.7239, 0.6193)
O (0.2692, 0.1948, 0.1248)
O (0.6650, 0.0184, 0.9220)
O (0.6747, 0.5180, 0.4388)
O (0.0134, 0.9066, 0.8033)
O (0.0560, 0.4089, 0.3374)

---

Record 3
Below is an optimized crystal structure of Li7MnN4, with properties calculated at the PBE level.

Calculated values
The calculation puts the corrected total energy (MP2020 scheme) at -5.3357 eV/atom. The value obtained for the formation energy is -0.68 eV per atom. For the piezoelectric modulus e_max, the calculation gives 0.02 C/m2.

Lattice parameters (Å, degrees): 9.5793 9.5793 9.5793 90.00 90.00 90.00
Positions (direct):
Li (0.0000, 0.5000, 0.5000)
Li (0.5000, 0.0000, 0.0000)
Li (0.0000, 0.0000, 0.5000)
Li (0.0000, 0.5000, 0.0000)
Li (0.5000, 0.0000, 0.5000)
Li (0.5000, 0.5000, 0.0000)
Li (0.2500, 0.0000, 0.5000)
Li (0.0000, 0.5000, 0.7500)
Li (0.0000, 0.5000, 0.2500)
Li (0.5000, 0.2500, 0.0000)
Li (0.5000, 0.7500, 0.0000)
Li (0.7500, 0.0000, 0.5000)
Li (0.2320, 0.2320, 0.2320)
Li (0.2680, 0.7320, 0.2680)
Li (0.2680, 0.2680, 0.7320)
Li (0.7320, 0.2680, 0.2680)
Li (0.7680, 0.7680, 0.2320)
Li (0.2320, 0.7680, 0.7680)
Li (0.7680, 0.2320, 0.7680)
Li (0.7320, 0.7320, 0.7320)
Li (0.2511, 0.2388, 0.9817)
Li (0.2489, 0.4817, 0.2612)
Li (0.2489, 0.5183, 0.7388)
Li (0.5183, 0.2612, 0.7511)
Li (0.4817, 0.2612, 0.2489)
Li (0.7388, 0.2489, 0.5183)
Li (0.2612, 0.7511, 0.5183)
Li (0.9817, 0.2511, 0.2388)
Li (0.2388, 0.9817, 0.2511)
Li (0.7612, 0.0183, 0.2511)
Li (0.9817, 0.7489, 0.7612)
Li (0.7612, 0.9817, 0.7489)
Li (0.0183, 0.7489, 0.2388)
Li (0.0183, 0.2511, 0.7612)
Li (0.2388, 0.0183, 0.7489)
Li (0.2511, 0.7612, 0.0183)
Li (0.7489, 0.2388, 0.0183)
Li (0.7489, 0.7612, 0.9817)
Li (0.2612, 0.2489, 0.4817)
Li (0.7388, 0.7511, 0.4817)
Li (0.5183, 0.7388, 0.2489)
Li (0.4817, 0.7388, 0.7511)
Li (0.7511, 0.5183, 0.2612)
Li (0.7511, 0.4817, 0.7388)
Li (0.2627, 0.0000, 0.0000)
Li (0.2373, 0.5000, 0.5000)
Li (0.5000, 0.5000, 0.7627)
Li (0.5000, 0.5000, 0.2373)
Li (0.5000, 0.2373, 0.5000)
Li (0.5000, 0.7627, 0.5000)
Li (0.0000, 0.2627, 0.0000)
Li (0.0000, 0.0000, 0.2627)
Li (0.0000, 0.7373, 0.0000)
Li (0.0000, 0.0000, 0.7373)
Li (0.7373, 0.0000, 0.0000)
Li (0.7627, 0.5000, 0.5000)
Mn (0.5000, 0.5000, 0.5000)
Mn (0.0000, 0.0000, 0.0000)
Mn (0.5000, 0.0000, 0.7500)
Mn (0.7500, 0.5000, 0.0000)
Mn (0.2500, 0.5000, 0.0000)
Mn (0.0000, 0.2500, 0.5000)
Mn (0.0000, 0.7500, 0.5000)
Mn (0.5000, 0.0000, 0.2500)
N (0.6095, 0.6095, 0.6095)
N (0.8905, 0.1095, 0.8905)
N (0.1095, 0.8905, 0.8905)
N (0.8905, 0.8905, 0.1095)
N (0.6095, 0.3905, 0.3905)
N (0.3905, 0.3905, 0.6095)
N (0.3905, 0.6095, 0.3905)
N (0.1095, 0.1095, 0.1095)
N (0.3564, 0.3831, 0.1068)
N (0.1436, 0.6068, 0.1169)
N (0.1436, 0.3932, 0.8831)
N (0.3932, 0.1169, 0.8564)
N (0.6068, 0.1169, 0.1436)
N (0.8831, 0.1436, 0.3932)
N (0.1169, 0.8564, 0.3932)
N (0.1068, 0.3564, 0.3831)
N (0.3831, 0.1068, 0.3564)
N (0.6169, 0.8932, 0.3564)
N (0.1068, 0.6436, 0.6169)
N (0.6169, 0.1068, 0.6436)
N (0.8932, 0.6436, 0.3831)
N (0.8932, 0.3564, 0.6169)
N (0.3831, 0.8932, 0.6436)
N (0.3564, 0.6169, 0.8932)
N (0.6436, 0.3831, 0.8932)
N (0.6436, 0.6169, 0.1068)
N (0.1169, 0.1436, 0.6068)
N (0.8831, 0.8564, 0.6068)
N (0.3932, 0.8831, 0.1436)
N (0.6068, 0.8831, 0.8564)
N (0.8564, 0.3932, 0.1169)
N (0.8564, 0.6068, 0.8831)

---

Record 4
Below is an optimized crystal structure of TmGa6Fe6, with properties calculated at the PBE level.

Calculated values
The value obtained for the formation energy is -0.32 eV per atom.

Lattice parameters (Å, degrees): 5.0084 6.5531 6.5531 80.51 67.53 67.53
Positions (direct):
Tm (0.0000, 0.0000, 0.0000)
Ga (0.0000, 0.6662, 0.3338)
Ga (0.0000, 0.3338, 0.6662)
Ga (0.3425, 0.6575, 0.6575)
Ga (0.6575, 0.3425, 0.3425)
Ga (0.3217, 0.1783, 0.1783)
Ga (0.6783, 0.8217, 0.8217)
Fe (0.5000, 0.2451, 0.7549)
Fe (0.5000, 0.7549, 0.2451)
Fe (0.0000, 0.5000, 0.0000)
Fe (0.5000, 0.5000, 0.0000)
Fe (0.0000, 0.0000, 0.5000)
Fe (0.5000, 0.0000, 0.5000)

---

Record 5
Below is an optimized crystal structure of SrTl2Pt, with properties calculated at the PBE level.

Calculated values
The value obtained for the formation energy is -0.46 eV per atom.

Lattice parameters (Å, degrees): 6.0347 6.0347 8.6479 90.00 90.00 137.33
Positions (direct):
Sr (0.5652, 0.4348, 0.2500)
Sr (0.4348, 0.5652, 0.7500)
Tl (0.8544, 0.1456, 0.0494)
Tl (0.1456, 0.8544, 0.9506)
Tl (0.1456, 0.8544, 0.5494)
Tl (0.8544, 0.1456, 0.4506)
Pt (0.2784, 0.7216, 0.2500)
Pt (0.7216, 0.2784, 0.7500)

---

Record 6
Below is an optimized crystal structure of NaY2Ge2P3S3O24, with properties calculated at the PBE level.

Calculated values
The calculation puts the corrected total energy (MP2020 scheme) at -7.3585 eV/atom. The value obtained for the formation energy is -2.48 eV per atom.

Lattice parameters (Å, degrees): 8.7774 8.7705 22.7426 90.53 90.27 120.24
Positions (direct):
Na (0.6877, 0.3367, 0.8358)
Na (0.6611, 0.3465, 0.3317)
Na (0.3511, 0.6807, 0.1630)
Y (0.6762, 0.3368, 0.6858)
Y (0.6562, 0.3294, 0.1838)
Y (0.6631, 0.3219, 0.9875)
Y (0.6634, 0.3370, 0.4841)
Y (0.3366, 0.6700, 0.3067)
Y (0.3301, 0.6692, 0.8036)
Ge (0.0173, 0.9924, 0.3550)
Ge (0.9923, 0.0033, 0.8564)
Ge (0.9929, 0.9923, 0.6500)
Ge (0.9978, 0.9998, 0.1463)
Ge (0.3330, 0.6479, 0.0184)
Ge (0.3192, 0.6567, 0.5092)
P (0.2741, 0.0043, 0.2482)
P (0.7388, 0.7322, 0.2502)
P (0.9896, 0.7322, 0.7523)
P (0.7355, 0.0090, 0.7509)
P (0.6651, 0.0117, 0.0834)
P (0.3459, 0.3269, 0.0842)
P (0.0497, 0.3679, 0.9150)
P (0.3134, 0.3634, 0.4144)
P (0.0462, 0.6779, 0.4153)
S (0.9935, 0.2683, 0.2498)
S (0.2752, 0.2653, 0.7496)
S (0.9878, 0.3332, 0.5833)
S (0.3462, 0.0114, 0.5839)
S (0.6623, 0.6524, 0.5838)
S (0.9843, 0.6490, 0.0837)
S (0.6347, 0.6790, 0.9160)
S (0.3145, 0.9529, 0.9159)
S (0.6347, 0.9507, 0.4187)
O (0.1966, 0.0263, 0.3079)
O (0.8378, 0.8217, 0.3100)
O (0.9814, 0.1711, 0.3042)
O (0.1959, 0.1630, 0.8036)
O (0.9690, 0.8204, 0.8093)
O (0.8474, 0.0422, 0.8084)
O (0.8223, 0.9967, 0.6925)
O (0.1755, 0.1847, 0.6933)
O (0.0091, 0.8311, 0.6935)
O (0.8263, 0.8340, 0.1938)
O (0.0054, 0.1865, 0.1941)
O (0.1703, 0.9974, 0.1927)
O (0.9128, 0.3733, 0.6349)
O (0.4613, 0.0921, 0.6358)
O (0.6291, 0.5407, 0.6353)
O (0.9085, 0.5346, 0.1348)
O (0.6186, 0.0867, 0.1369)
O (0.4701, 0.3794, 0.1375)
O (0.4262, 0.2919, 0.0301)
O (0.8723, 0.5712, 0.0309)
O (0.7067, 0.1308, 0.0303)
O (0.4220, 0.1268, 0.5329)
O (0.7038, 0.5766, 0.5328)
O (0.8695, 0.2903, 0.5323)
O (0.5524, 0.7057, 0.9704)
O (0.1673, 0.4603, 0.9723)
O (0.2937, 0.8489, 0.9696)
O (0.5437, 0.8353, 0.4723)
O (0.2847, 0.4530, 0.4718)
O (0.1644, 0.7088, 0.4728)
O (0.1267, 0.6457, 0.3621)
O (0.5257, 0.8797, 0.3659)
O (0.3545, 0.4797, 0.3619)
O (0.1321, 0.4782, 0.8615)
O (0.3469, 0.8765, 0.8636)
O (0.5277, 0.6504, 0.8636)
O (0.0345, 0.8485, 0.4102)
O (0.8063, 0.9620, 0.4136)
O (0.1387, 0.1825, 0.4065)
O (0.0418, 0.1848, 0.9088)
O (0.1492, 0.9624, 0.9091)
O (0.8106, 0.8456, 0.9114)
O (0.0142, 0.1799, 0.5946)
O (0.1664, 0.9891, 0.5941)
O (0.8225, 0.8335, 0.5933)
O (0.0070, 0.8255, 0.0934)
O (0.8213, 0.9822, 0.0960)
O (0.1613, 0.1682, 0.0964)
O (0.7162, 0.1734, 0.7477)
O (0.4491, 0.2796, 0.7456)
O (0.8207, 0.5508, 0.7492)
O (0.7262, 0.5514, 0.2491)
O (0.8353, 0.2860, 0.2484)
O (0.4589, 0.1692, 0.2487)
O (0.6618, 0.5276, 0.9228)
O (0.8642, 0.3392, 0.9232)
O (0.4666, 0.1351, 0.9209)
O (0.6571, 0.1270, 0.4284)
O (0.4672, 0.3316, 0.4256)
O (0.8620, 0.5189, 0.4247)
O (0.3234, 0.4929, 0.0738)
O (0.1635, 0.6702, 0.0738)
O (0.4947, 0.8250, 0.0694)
O (0.3295, 0.8350, 0.5728)
O (0.5061, 0.6722, 0.5719)
O (0.1643, 0.4944, 0.5723)
O (0.2829, 0.8347, 0.2470)
O (0.5569, 0.7164, 0.2501)
O (0.1543, 0.4438, 0.2495)
O (0.2897, 0.4369, 0.7516)
O (0.1535, 0.7182, 0.7543)
O (0.5617, 0.8396, 0.7534)

---

Record 7
Below is an optimized crystal structure of LiTiSe2O, with properties calculated at the PBE level.

Calculated values
The calculation puts the corrected total energy (MP2020 scheme) at -5.4485 eV/atom. The value obtained for the formation energy is -1.10 eV per atom.

Lattice parameters (Å, degrees): 3.4787 3.4787 25.8727 90.00 90.00 120.00
Positions (direct):
Li (0.0000, 0.0000, 0.6649)
Li (0.6667, 0.3333, 0.3356)
Li (0.3333, 0.6667, 0.0018)
Ti (0.0000, 0.0000, 0.8315)
Ti (0.3333, 0.6667, 0.1677)
Ti (0.6667, 0.3333, 0.5002)
Se (0.3333, 0.6667, 0.7702)
Se (0.0000, 0.0000, 0.2286)
Se (0.3333, 0.6667, 0.5610)
Se (0.6667, 0.3333, 0.8919)
Se (0.0000, 0.0000, 0.4391)
Se (0.6667, 0.3333, 0.1070)
O (0.3333, 0.6667, 0.3346)
O (0.6667, 0.3333, 0.6638)
O (0.0000, 0.0000, 0.0019)

---

Record 8
Below is an optimized crystal structure of Nb2TlPS10, with properties calculated at the PBE level.

Calculated values
The calculation puts the corrected total energy (MP2020 scheme) at -5.9071 eV/atom. The value obtained for the formation energy is -0.95 eV per atom.

Lattice parameters (Å, degrees): 7.7437 7.2584 13.1858 73.20 90.00 90.00
Positions (direct):
Nb (0.4441, 0.3165, 0.8411)
Nb (0.5559, 0.3165, 0.3411)
Nb (0.4379, 0.3231, 0.1298)
Nb (0.5621, 0.3231, 0.6298)
Tl (0.9928, 0.7380, 0.3922)
Tl (0.0072, 0.7380, 0.8922)
P (0.1069, 0.1722, 0.0087)
P (0.8931, 0.1722, 0.5087)
S (0.8931, 0.3632, 0.5990)
S (0.6388, 0.0675, 0.5270)
S (0.3410, 0.3846, 0.4762)
S (0.3914, 0.0551, 0.7513)
S (0.6237, 0.5755, 0.1747)
S (0.6391, 0.0687, 0.8027)
S (0.3609, 0.0687, 0.3027)
S (0.1060, 0.3158, 0.8487)
S (0.0766, 0.9739, 0.5538)
S (0.3612, 0.0675, 0.0270)
S (0.3763, 0.5755, 0.6747)
S (0.4523, 0.5701, 0.9457)
S (0.1069, 0.3632, 0.0990)
S (0.6273, 0.5761, 0.7185)
S (0.3727, 0.5761, 0.2185)
S (0.6590, 0.3846, 0.9762)
S (0.6086, 0.0551, 0.2513)
S (0.8940, 0.3158, 0.3487)
S (0.5477, 0.5701, 0.4457)
S (0.9234, 0.9739, 0.0538)

---

no.,calculated total energy (eV per atom)
1,-7.437
2,-8.152
3,-5.215
4,-5.975
5,-3.582
6,-6.887
7,-5.311
8,-5.548